(P)
Li3NiP2O8: optimized geometry, PBE with a Hubbard U.

Output
Volume: 140 Å³ per cell

Cell and atoms, written as extended XYZ:
```
14
Lattice="4.135 -2.712 0.000 4.135 2.712 0.000 -0.012 0.000 6.244" Properties=species:S:1:pos:R:3 pbc="T T T"
Li 0.000 0.000 0.000
Li 2.700 0.000 1.457
Li 5.559 0.000 4.787
Ni -0.006 0.000 3.122
P 2.933 0.000 4.597
P 5.325 0.000 1.647
O 3.872 1.253 4.608
O 2.040 0.000 3.330
O 2.059 0.000 5.861
O 4.386 1.253 1.636
O 3.872 -1.253 4.608
O 6.199 0.000 0.383
O 6.219 0.000 2.914
O 4.386 -1.253 1.636
```

(Q)
Li3NiP2O8: optimized geometry, PBE with a Hubbard U.

Output
Volume: 678 Å³ per cell

Cell and atoms, written as extended XYZ:
```
56
Lattice="8.173 0.000 0.000 0.000 10.390 0.000 -2.198 0.000 7.980" Properties=species:S:1:pos:R:3 pbc="T T T"
Li 0.298 0.000 0.274
Li -0.985 7.725 6.697
Li 0.128 9.489 2.783
Li 0.263 4.410 3.337
Li -0.762 2.442 7.275
Li 1.452 7.509 4.735
Li 4.524 2.314 3.245
Li 6.738 7.637 0.705
Li 5.712 9.605 4.643
Li 5.847 4.294 5.197
Li 6.961 2.530 1.283
Li 5.677 5.195 7.705
Ni 1.827 2.474 5.353
Ni 2.960 4.342 1.340
Ni 3.015 9.537 6.640
Ni 4.148 7.669 2.627
P 0.127 10.243 5.741
P 1.331 6.904 1.725
P 1.528 1.853 2.352
P 0.436 5.001 6.371
P 5.540 10.196 1.609
P 4.448 7.048 5.628
P 4.644 1.709 6.255
P 5.849 5.048 2.239
O 0.454 6.993 0.454
O -0.609 10.123 4.415
O -0.930 4.343 6.681
O 0.248 2.628 2.627
O -0.676 9.702 6.916
O 0.710 7.599 2.926
O 1.315 0.411 1.930
O 0.362 6.462 5.966
O 1.541 5.361 2.064
O 0.479 1.368 6.060
O 1.124 4.213 5.168
O 2.319 2.566 1.156
O 1.484 9.435 5.553
O 2.752 7.483 1.400
O 1.362 4.792 7.620
O 2.493 1.989 3.612
O 3.482 7.184 4.367
O 4.614 9.987 0.360
O 3.223 2.288 6.580
O 4.492 4.240 2.427
O 3.656 7.761 6.824
O 4.851 9.408 2.812
O 5.497 6.563 1.920
O 4.434 0.166 5.916
O 5.614 1.267 2.014
O 4.660 5.606 6.050
O 5.265 2.404 5.053
O 6.651 4.506 1.064
O 5.727 7.824 5.353
O 6.906 9.538 1.299
O 6.585 4.928 3.565
O 5.521 1.798 7.526
```

It is (P) that is most stable; the runner-up trails by 0.013 eV/atom.

(P)
LiNi4P3O12: optimized geometry, PBE with a Hubbard U.

Output
Volume: 865 Å³ per cell

Cell and atoms, written as extended XYZ:
```
80
Lattice="6.244 0.000 0.000 0.000 14.171 0.000 0.000 0.000 9.770" Properties=species:S:1:pos:R:3 pbc="T T T"
Li 0.357 3.543 2.407
Li 2.765 10.628 7.292
Li 3.479 3.543 2.478
Li 5.887 10.628 7.363
Ni 0.852 8.735 3.439
Ni 0.852 12.522 3.439
Ni 0.918 8.450 9.358
Ni 0.918 12.807 9.358
Ni 2.204 1.365 4.473
Ni 2.204 5.721 4.473
Ni 2.270 1.649 8.324
Ni 2.270 5.437 8.324
Ni 3.974 8.735 1.446
Ni 3.974 12.522 1.446
Ni 4.040 8.450 5.297
Ni 4.040 12.807 5.297
Ni 5.326 1.365 0.412
Ni 5.326 5.721 0.412
Ni 5.392 1.649 6.332
Ni 5.392 5.437 6.332
P 0.051 10.628 0.949
P 0.858 8.137 6.164
P 0.858 13.120 6.164
P 2.264 1.051 1.278
P 2.264 6.035 1.278
P 3.071 3.543 5.834
P 3.173 10.628 3.936
P 3.980 8.137 8.492
P 3.980 13.120 8.492
P 5.386 1.051 3.607
P 5.386 6.035 3.607
P 6.193 3.543 8.821
O 0.219 1.674 4.561
O 0.219 5.412 4.561
O 0.376 0.197 6.901
O 0.376 6.889 6.901
O 0.381 10.628 9.218
O 0.661 9.323 1.511
O 0.661 11.933 1.511
O 1.116 0.718 0.205
O 1.116 6.368 0.205
O 1.329 9.139 7.212
O 1.329 12.118 7.212
O 1.480 3.543 8.594
O 1.642 10.628 3.709
O 1.793 2.053 2.327
O 1.793 5.032 2.327
O 2.006 7.804 5.090
O 2.006 13.453 5.090
O 2.461 2.238 6.396
O 2.461 4.848 6.396
O 2.741 3.543 4.333
O 2.746 7.282 2.016
O 2.746 13.975 2.016
O 2.903 8.759 9.446
O 2.903 12.498 9.446
O 3.341 1.674 0.324
O 3.341 5.412 0.324
O 3.498 0.197 7.754
O 3.498 6.889 7.754
O 3.503 10.628 5.438
O 3.783 9.323 3.375
O 3.783 11.933 3.375
O 4.238 0.718 4.680
O 4.238 6.368 4.680
O 4.451 9.139 7.443
O 4.451 12.118 7.443
O 4.602 3.543 6.062
O 4.764 10.628 1.176
O 4.915 2.053 2.558
O 4.915 5.032 2.558
O 5.128 7.804 9.565
O 5.128 13.453 9.565
O 5.583 2.238 8.260
O 5.583 4.848 8.260
O 5.863 3.543 0.553
O 5.868 7.282 2.869
O 5.868 13.975 2.869
O 6.025 8.759 5.210
O 6.025 12.498 5.210
```

(Q)
LiNi4P3O12: optimized geometry, PBE with a Hubbard U.

Output
Volume: 431 Å³ per cell

Cell and atoms, written as extended XYZ:
```
40
Lattice="5.777 -6.286 0.000 5.777 6.286 0.000 -2.680 0.000 5.935" Properties=species:S:1:pos:R:3 pbc="T T T"
Li 3.768 6.279 4.452
Li 5.107 -6.279 1.484
Ni 2.123 1.997 0.730
Ni 3.768 2.985 4.452
Ni 0.783 -1.997 3.698
Ni 5.107 0.063 1.484
Ni 3.768 -0.063 4.452
Ni 8.092 1.997 2.238
Ni 5.107 -2.985 1.484
Ni 6.752 -1.997 5.206
P 0.963 1.389 3.684
P 5.107 2.633 1.484
P 2.303 -1.389 0.717
P 6.572 1.389 5.219
P 3.768 -2.633 4.452
P 7.912 -1.389 2.251
O 2.301 4.199 3.634
O 0.366 2.255 4.814
O 0.229 0.026 3.565
O 1.569 -0.026 0.597
O 5.276 3.486 0.216
O 4.939 3.487 2.752
O 2.509 1.292 3.985
O 3.939 1.575 1.441
O 5.234 4.199 5.269
O 1.706 -2.255 1.846
O 3.849 -1.292 1.017
O 6.276 1.575 1.527
O 2.599 -1.575 4.408
O 5.026 1.292 4.918
O 7.169 2.255 4.089
O 3.641 -4.199 0.666
O 4.936 -1.575 4.495
O 6.366 -1.292 1.950
O 3.936 -3.487 3.184
O 3.599 -3.487 5.720
O 7.306 0.026 5.338
O 8.645 -0.026 2.371
O 8.509 -2.255 1.121
O 6.574 -4.199 2.302
```

It is (Q) that is most stable; the runner-up trails by 0.064 eV/atom.

(P)
LiNi4P3O12: optimized geometry, PBE with a Hubbard U.

Output
Volume: 467 Å³ per cell

Cell and atoms, written as extended XYZ:
```
40
Lattice="7.400 0.000 0.000 -0.659 7.746 0.000 -3.521 -3.593 8.150" Properties=species:S:1:pos:R:3 pbc="T T T"
Li 0.431 2.060 0.910
Li 2.790 2.093 7.240
Ni 0.235 6.210 1.699
Ni -1.042 5.427 4.611
Ni -0.786 2.539 4.712
Ni 2.945 5.283 0.449
Ni 0.275 -1.130 7.702
Ni 4.007 1.614 3.438
Ni 4.262 -1.274 3.539
Ni 2.986 -2.057 6.451
P -2.181 0.124 6.133
P -2.366 4.150 7.263
P 1.374 -0.062 4.604
P 1.847 4.215 3.546
P 5.587 0.003 0.887
P 5.402 4.029 2.017
O -2.394 1.436 5.294
O -0.727 4.432 1.251
O -0.341 0.024 1.323
O -1.821 -1.003 5.122
O -1.388 4.057 6.040
O -2.174 2.852 8.132
O 0.634 -0.979 3.595
O -1.364 -2.327 8.098
O -0.992 0.358 7.115
O 0.394 4.033 4.068
O 0.688 1.264 4.821
O 1.847 5.053 2.201
O 1.374 -0.900 5.949
O 2.533 2.889 3.329
O 2.826 0.120 4.082
O 4.213 3.795 1.035
O 4.585 6.480 0.052
O 2.587 5.132 4.555
O 5.394 1.301 0.018
O 4.609 0.096 2.110
O 5.042 5.157 3.028
O 3.562 4.129 6.827
O 3.948 -0.279 6.899
O 5.615 2.717 2.857
```

(Q)
LiNi4P3O12: optimized geometry, PBE with a Hubbard U.

Output
Volume: 1020 Å³ per cell

Cell and atoms, written as extended XYZ:
```
80
Lattice="7.684 0.000 0.000 0.000 12.994 0.000 0.000 0.000 10.215" Properties=species:S:1:pos:R:3 pbc="T T T"
Li 1.921 3.249 2.303
Li 1.921 3.249 7.411
Li 5.763 9.746 2.804
Li 5.763 9.746 7.912
Ni 0.768 8.583 0.068
Ni 0.768 10.909 5.176
Ni 0.862 6.878 3.042
Ni 0.862 12.614 8.150
Ni 2.980 6.878 8.150
Ni 2.980 12.614 3.042
Ni 3.073 8.583 5.176
Ni 3.073 10.909 0.068
Ni 4.610 2.086 10.147
Ni 4.610 4.411 5.039
Ni 4.704 0.380 7.173
Ni 4.704 6.117 2.066
Ni 6.821 0.380 2.066
Ni 6.821 6.117 7.173
Ni 6.915 2.086 5.039
Ni 6.915 4.411 10.147
P 1.889 0.919 0.727
P 1.889 5.578 5.835
P 1.921 9.746 2.542
P 1.921 9.746 7.650
P 1.952 0.919 5.835
P 1.952 5.578 0.727
P 5.731 7.416 9.488
P 5.731 12.075 4.380
P 5.763 3.249 2.565
P 5.763 3.249 7.673
P 5.794 7.416 4.380
P 5.794 12.075 9.488
O 0.649 9.725 1.672
O 0.649 9.767 6.780
O 0.966 1.134 1.959
O 0.968 2.116 5.889
O 0.968 4.381 0.782
O 0.966 5.363 7.067
O 1.128 6.904 1.034
O 1.128 12.588 6.142
O 1.153 0.815 9.621
O 1.153 5.683 4.514
O 1.905 8.502 8.618
O 1.905 10.989 3.511
O 1.937 8.502 3.511
O 1.937 10.989 8.618
O 2.689 0.815 4.514
O 2.689 5.683 9.621
O 2.714 6.904 6.142
O 2.714 12.588 1.034
O 2.876 1.134 7.067
O 2.874 2.116 0.782
O 2.874 4.381 5.889
O 2.876 5.363 1.959
O 3.193 9.725 6.780
O 3.193 9.767 1.672
O 4.491 3.228 8.543
O 4.491 3.270 3.435
O 4.808 7.631 8.256
O 4.810 8.613 4.326
O 4.810 10.878 9.434
O 4.808 11.860 3.148
O 4.970 0.407 9.181
O 4.970 6.091 4.074
O 4.995 7.312 0.594
O 4.995 12.180 5.701
O 5.747 2.005 1.597
O 5.747 4.492 6.705
O 5.778 2.005 6.705
O 5.778 4.492 1.597
O 6.531 7.312 5.701
O 6.531 12.180 0.594
O 6.556 0.407 4.074
O 6.556 6.091 9.181
O 6.717 7.631 3.148
O 6.716 8.613 9.434
O 6.716 10.878 4.326
O 6.717 11.860 8.256
O 7.035 3.228 3.435
O 7.035 3.270 8.543
```

(R)
LiNi4P3O12: optimized geometry, PBE with a Hubbard U.

Output
Volume: 468 Å³ per cell

Cell and atoms, written as extended XYZ:
```
40
Lattice="3.191 -7.389 0.000 3.191 7.389 0.000 0.000 0.000 9.925" Properties=species:S:1:pos:R:3 pbc="T T T"
Li 3.191 7.063 4.963
Li 3.191 -7.063 0.000
Ni 1.616 2.948 4.998
Ni 3.191 1.950 1.905
Ni 3.191 1.860 8.080
Ni 1.616 -2.948 0.035
Ni 4.766 2.948 4.998
Ni 3.191 -1.860 3.117
Ni 3.191 -1.950 6.868
Ni 4.766 -2.948 0.035
P 3.191 4.658 2.884
P 3.191 4.657 7.138
P 3.191 0.313 5.452
P 3.191 -0.313 0.489
P 3.191 -4.657 2.175
P 3.191 -4.658 7.847
O 1.227 1.952 8.243
O 1.228 1.949 1.784
O 3.191 4.215 8.665
O 3.191 4.200 1.357
O 1.881 0.998 4.969
O 3.191 3.248 6.367
O 3.191 3.239 3.641
O 1.227 -1.952 3.281
O 1.228 -1.949 6.747
O 1.881 -0.998 0.006
O 3.191 1.159 0.015
O 3.191 0.172 7.002
O 3.191 -0.172 2.039
O 3.191 -1.159 4.978
O 4.501 0.998 4.969
O 5.153 1.949 1.784
O 5.155 1.952 8.243
O 3.191 -3.239 8.604
O 3.191 -3.248 1.404
O 4.501 -0.998 0.006
O 3.191 -4.200 6.319
O 3.191 -4.215 3.703
O 5.153 -1.949 6.747
O 5.155 -1.952 3.281
```

(S)
LiNi4P3O12: optimized geometry, PBE with a Hubbard U.

Output
Piezoelectric modulus e_max: 0.14 C/m2
Volume: 402 Å³ per cell

Cell and atoms, written as extended XYZ:
```
40
Lattice="-3.302 3.302 9.211 3.302 -3.302 9.211 3.302 3.302 -9.211" Properties=species:S:1:pos:R:3 pbc="T T T"
Li 0.000 0.000 0.000
Li 0.000 3.302 4.606
Ni 3.302 0.000 0.410
Ni 1.651 -1.619 6.908
Ni 0.000 0.000 5.015
Ni 1.683 1.651 2.303
Ni 3.302 0.000 8.802
Ni 1.651 4.921 -2.303
Ni 0.000 0.000 13.407
Ni 1.619 1.651 11.514
P 1.651 0.974 -2.303
P 3.302 0.000 4.606
P 2.328 -1.651 11.514
P 0.000 0.000 9.211
P 1.651 2.328 6.908
P 0.974 4.953 2.303
O 3.638 -1.294 3.805
O 1.767 -0.383 1.921
O 2.920 1.767 -2.684
O 4.837 0.383 1.921
O 3.685 -1.535 7.290
O 2.009 -0.336 5.406
O 0.010 1.879 1.077
O 4.596 0.336 5.406
O 2.966 2.009 0.800
O 2.966 1.294 3.805
O 1.294 -0.336 8.411
O 0.010 1.424 3.528
O 2.009 3.638 -0.800
O 0.383 1.535 6.527
O 1.535 -0.383 11.895
O 2.920 1.535 7.290
O 1.767 3.685 2.684
O 0.336 1.294 10.012
O -0.010 4.726 1.077
O -1.879 3.292 5.683
O 1.879 3.312 5.683
O -1.424 3.292 8.134
O 1.424 3.312 8.134
O -0.010 5.181 3.528
```

It is (S) that is most stable; the runner-up trails by 0.021 eV/atom.